234
Lattice="-13.010 2.145 -12.167 -0.976 -5.974 6.633 -9.488 15.916 12.938" Properties=species:S:1:pos:R:3 comment="Na10Sc7TaP12O48 PBE-GGA optimized geometry" ef_mev_per_atom=-3067 spacegroup="No. 1" m_tot_mub_per_fu=0.00 vol_a3_per_cell=3150.0 energy_mp2020_ev_per_cell=-1833.280 final_energy_ev_per_atom=-7.412 pbc="T T T"
Sc -17.707 10.816 0.945
Na -7.841 4.008 2.451
P -2.656 2.227 5.162
O -3.504 -1.374 2.135
P -9.145 3.244 -0.898
O -8.943 1.029 4.314
O -10.820 7.526 3.715
O -15.864 10.937 0.012
O -18.705 11.422 6.151
O -11.325 8.931 14.797
O -17.092 14.109 8.586
O -11.461 1.345 -8.933
P -7.634 0.551 3.648
Na -11.641 3.302 -2.632
O -12.622 4.655 3.777
Na -11.843 8.897 10.098
Na -17.310 5.255 3.832
O -11.809 11.705 6.553
O -11.821 0.440 0.848
Na -15.618 8.135 5.102
O -11.752 5.411 7.953
Sc -9.828 6.620 -1.511
Na -5.798 -2.121 1.638
O -11.454 7.635 12.075
O -13.025 9.619 8.215
P -10.077 0.823 -5.042
P -8.970 1.545 7.929
O -16.626 2.534 0.738
O -10.125 0.248 -6.466
O -6.888 6.385 9.911
P -7.811 7.695 14.387
O -13.011 13.597 5.446
O -10.042 5.913 6.219
O -8.043 2.942 0.137
O -4.953 2.044 8.215
O -10.728 7.786 7.811
O -6.297 -1.887 -1.181
O -14.545 11.010 3.105
P -12.699 6.728 12.029
O -16.028 12.081 7.488
O -12.200 10.349 12.234
P -11.794 9.181 16.225
O -6.859 5.269 7.252
O -12.658 6.047 10.638
O -5.294 -0.613 6.962
O -18.545 15.371 3.833
O -13.507 12.274 11.294
O -14.601 4.175 -5.920
O -20.008 12.941 7.746
O -13.355 10.522 0.487
O -15.532 1.923 -1.787
Na -19.105 13.200 2.812
O -17.958 8.709 5.993
P -12.116 8.327 3.930
O -7.786 -0.912 3.122
O -16.208 10.596 4.922
Na -10.801 4.197 9.914
O -4.045 -2.604 7.811
O -14.577 9.040 -1.077
O -19.533 10.696 2.129
Ta -14.620 14.639 4.958
O -13.406 7.463 3.811
O -18.646 10.464 -3.287
O -17.321 8.586 -2.371
O -14.618 13.534 8.967
O -15.520 12.994 4.330
P -18.300 10.255 10.142
O -14.143 2.249 1.296
Sc -20.451 15.366 4.741
Na -3.710 -4.159 5.652
O -12.073 3.213 -7.359
O -14.817 8.950 9.785
Sc -2.936 -3.436 2.556
Sc -9.192 6.407 4.310
Na -10.956 0.094 -1.358
O -21.123 14.598 2.886
O -13.013 1.648 -1.431
P -11.353 3.778 3.530
P -10.474 6.260 7.660
O -8.690 2.849 -2.337
O -8.754 1.654 -4.952
P -4.846 2.656 9.605
O -18.271 6.489 1.877
O -13.497 6.225 1.129
O -15.911 6.972 2.634
O -12.117 8.935 5.351
O -14.027 1.150 -6.237
O -8.917 13.346 12.841
O -9.382 5.876 8.708
P -9.290 12.425 14.080
O -17.141 9.818 11.134
O -17.832 10.001 8.713
Na -6.522 4.693 -0.599
O -18.528 11.766 10.404
P -14.316 8.766 8.304
O -14.031 6.229 -1.376
O -10.637 8.746 17.218
O -16.603 7.085 0.148
O -15.125 5.531 4.929
O -6.235 2.199 -3.772
Na -7.810 0.437 -2.976
O -18.310 12.777 0.469
O -18.613 10.007 -0.733
O -4.798 1.499 10.683
O -11.381 2.699 4.651
Sc -10.527 9.362 13.003
O -4.815 0.532 1.237
Na -9.112 7.062 11.186
O -11.734 6.732 -0.566
O -4.975 0.306 -2.763
P -14.148 1.591 -2.469
O -19.517 14.668 -0.636
O -12.807 -0.806 -7.260
Sc -9.440 -2.356 -3.531
P -15.521 2.628 1.850
Sc -13.006 2.817 -5.559
P -7.642 -1.398 -0.624
Na -6.394 5.151 11.987
Ta -8.115 13.567 11.042
Na -10.228 -3.083 -0.418
O -9.355 9.949 6.114
Na -14.502 5.055 -3.695
O -11.342 -2.291 -2.474
O -15.526 4.097 2.356
O -7.508 0.065 -0.152
O -15.985 5.918 -7.045
O -7.554 5.129 4.797
P -13.436 11.237 12.414
O -6.273 3.277 5.795
Na -5.699 1.956 13.068
Na -12.600 12.128 8.895
O -10.457 2.464 -0.661
O -7.668 1.077 7.254
O -10.032 -0.289 -3.946
O -14.230 0.164 -3.041
Sc -11.202 9.741 7.027
O -2.292 -2.487 4.409
O -8.795 -1.424 -1.672
O -8.016 -2.376 0.538
Na -12.907 6.217 5.895
O -3.533 -0.879 -0.404
O -11.342 1.676 -4.760
Ta -4.310 -0.378 11.166
Sc -13.946 14.294 10.821
P -14.154 -0.319 -6.704
Sc -7.644 4.555 9.061
P -10.821 5.371 -4.657
O -15.384 9.161 7.294
O -8.811 3.016 8.450
O -6.504 0.453 4.705
Na -1.294 -0.651 3.105
O -9.526 11.009 13.567
O -11.439 3.143 2.136
O -12.739 3.262 -9.862
O -6.090 3.512 9.965
O -10.587 13.034 14.671
O -9.016 11.921 10.412
Na -16.969 11.014 13.487
O -10.785 6.012 -3.248
Sc -14.222 5.636 2.924
Sc -12.296 2.455 0.434
O -12.043 14.298 9.906
Sc -17.032 10.435 6.920
P -5.256 -1.685 8.062
P -6.460 4.793 5.827
O -17.271 8.886 1.798
Na -12.301 -1.051 -4.452
Sc -6.435 1.647 0.637
O -14.527 -1.298 -5.547
O -19.161 7.119 4.557
O -10.550 -1.510 1.755
O -5.619 3.527 1.436
Sc -12.699 11.417 2.329
O -13.981 7.269 8.098
O -14.724 10.313 12.304
P -3.527 -0.290 1.014
O -15.422 14.419 6.758
Sc -8.922 -2.475 2.492
O -4.838 -3.351 3.614
O -4.098 4.956 2.845
Na -18.345 9.967 4.010
O -12.023 10.692 16.492
P -19.203 7.803 5.947
O -7.476 6.198 14.184
Na -11.207 8.859 0.424
O -9.364 4.770 -0.847
Na -9.098 3.350 5.525
O -9.702 9.522 11.006
O -8.043 9.936 9.190
O -8.350 6.543 2.426
Na -14.335 8.674 1.818
Na -4.359 -0.807 4.586
O -21.323 10.022 3.701
O -10.031 4.563 3.669
O -8.610 4.462 11.018
P -8.005 9.460 5.540
Sc -5.764 1.416 6.468
Na -7.831 7.598 7.906
Sc -6.201 10.350 8.424
O -3.946 1.458 5.443
O -5.591 2.252 -1.260
O -8.141 7.998 5.085
O -2.233 0.573 1.132
P -11.660 2.863 -8.807
P -14.500 10.496 -0.570
O -8.881 8.087 13.377
P -17.012 7.369 1.605
P -15.818 11.557 3.782
P -19.941 12.309 6.331
Sc -15.767 7.378 -1.715
O -16.555 5.599 -2.443
O -13.899 2.654 -3.555
O -2.143 1.805 3.768
O -12.668 4.347 -0.408
P -5.166 1.829 -2.692
O -6.844 9.469 6.579
O -21.229 11.386 6.219
Sc -15.417 -1.422 -3.581
P -12.984 5.851 -0.294
P -18.608 9.397 -2.153
O -10.501 10.590 8.879
Na -23.469 12.081 7.398
P -15.795 13.498 7.995
O -13.502 11.868 13.830
Na -12.638 7.826 -2.549
P -9.316 10.485 9.867
O -7.288 1.533 2.518
O -5.134 5.546 5.457
O -12.144 9.397 2.798
O -10.110 1.647 6.881
O -12.092 4.480 -4.654
O -17.003 11.669 2.793
O -14.864 7.619 -3.644
O -20.012 13.347 5.212